The following is a DFT calculation (PBE+U) of crystalline LiCo2OF3 at its relaxed geometry.

## Properties
Raw total energy = -218.3 eV/cell
Energy relative to the elements = -2130.3 meV per atom

Structure (CIF):
```
data_LiCo2OF3
_chemical_formula_sum 'Li6 Co12 O6 F18'
_space_group_name_H-M_alt 'R -3 m'
_space_group_IT_number 166
_space_group_name_Hall '-R 3 2"'
_cell_length_a 6.0040
_cell_length_b 6.0040
_cell_length_c 15.4822
_cell_angle_alpha 90.00
_cell_angle_beta 90.00
_cell_angle_gamma 120.00
loop_
_atom_site_label
_atom_site_fract_x
_atom_site_fract_y
_atom_site_fract_z
_atom_site_occupancy
Li1 0.0000 0.0000 0.1466 1
Co1 0.0000 0.0000 0.5000 1
Co2 0.0000 0.5000 0.0000 1
O1 0.0000 0.0000 0.2738 1
F1 0.0082 0.5041 0.2430 1
```

---

The following is a DFT calculation (PBE+U) of crystalline BaNaEuMnO6 at its relaxed geometry.

## Properties
Raw total energy = -270.8 eV/cell
Energy relative to the elements = -2115.4 meV per atom

Structure (CIF):
```
data_BaNaEuMnO6
_chemical_formula_sum 'Ba4 Na4 Eu4 Mn4 O24'
_space_group_name_H-M_alt 'F -4 3 m'
_space_group_IT_number 216
_space_group_name_Hall 'F -4 2 3'
_cell_length_a 8.139
_cell_length_b 8.139
_cell_length_c 8.139
_cell_angle_alpha 90.00
_cell_angle_beta 90.00
_cell_angle_gamma 90.00
loop_
_atom_site_label
_atom_site_fract_x
_atom_site_fract_y
_atom_site_fract_z
_atom_site_occupancy
Ba1 0.000 0.000 0.000 1
Na1 0.250 0.250 0.750 1
Eu1 0.000 0.000 0.500 1
Mn1 0.250 0.250 0.250 1
O1 0.019 0.250 0.250 1
```